This record from Materials Project describes NdInAu2 after structural relaxation. The functional is PBE-GGA.

abc: 5.0583 5.0583 5.0583
angles: 60.00 60.00 60.00
Last column: nearest neighbours and their distance in Å.
Fractional coordinates of all 4 atoms:
Nd 0.5000 0.5000 0.5000  8 Au 3.10
In 0.0000 0.0000 0.0000  8 Au 3.10
Au 0.7500 0.7500 0.7500  4 In 3.10, 4 Nd 3.10
Au 0.2500 0.2500 0.2500  4 Nd 3.10, 4 In 3.10

The calculation puts the formation enthalpy at 0 K at -0.6848 eV per atom. For the total energy, the calculation gives -4.202 eV/atom.